(1)
DFT (r²SCAN) results for crystalline SmSnIr at its relaxed geometry.

Cell lengths 7.400, 7.400, 4.142 Å; angles 90.00, 90.00, 120.00 degrees
Fractional positions:
Sm1 0.000 0.589 0.000
Sm2 0.411 0.411 0.000
Sm3 0.589 0.000 0.000
Sn1 0.000 0.252 0.500
Sn2 0.252 0.000 0.500
Sn3 0.748 0.748 0.500
Ir1 0.000 0.000 0.000
Ir2 0.333 0.667 0.500
Ir3 0.667 0.333 0.500

## Properties
E_tot (eV/atom): -36.522
Total magnetic moment (Bohr magnetons per cell): 0.00
Symmetry: P-62m

=====

(2)
DFT (r²SCAN) results for crystalline Sn4Ir at its relaxed geometry.

Cell lengths 6.623, 6.623, 6.298 Å; angles 90.00, 90.00, 122.75 degrees
Fractional positions:
Sn1 0.055 0.299 0.075
Sn2 0.201 0.445 0.575
Sn3 0.299 0.055 0.575
Sn4 0.445 0.201 0.075
Sn5 0.555 0.799 0.925
Sn6 0.701 0.945 0.425
Sn7 0.799 0.555 0.425
Sn8 0.945 0.701 0.925
Ir1 0.250 0.750 0.250
Ir2 0.750 0.250 0.750

## Properties
E_tot (eV/atom): -30.430
Total magnetic moment (Bohr magnetons per cell): 0.00
Symmetry: Ccce

=====

(3)
DFT (r²SCAN) results for crystalline Sn4Ir at its relaxed geometry.

Cell lengths 12.500, 12.500, 12.500 Å; angles 150.78, 150.78, 41.79 degrees
Fractional positions:
Sn1 0.013 0.117 0.252
Sn2 0.117 0.365 0.104
Sn3 0.135 0.383 0.396
Sn4 0.239 0.987 0.604
Sn5 0.261 0.865 0.748
Sn6 0.365 0.761 0.248
Sn7 0.383 0.487 0.248
Sn8 0.487 0.739 0.104
Sn9 0.513 0.261 0.896
Sn10 0.617 0.513 0.752
Sn11 0.635 0.239 0.752
Sn12 0.739 0.135 0.252
Sn13 0.761 0.013 0.396
Sn14 0.865 0.617 0.604
Sn15 0.883 0.635 0.896
Sn16 0.987 0.883 0.748
Ir1 0.125 0.375 0.750
Ir2 0.375 0.125 0.250
Ir3 0.625 0.875 0.750
Ir4 0.875 0.625 0.250

## Properties
E_tot (eV/atom): -30.428
Total magnetic moment (Bohr magnetons per cell): 0.00
Symmetry: I4_1/acd

=====

(4)
DFT (r²SCAN) results for crystalline Sn7Ir5 at its relaxed geometry.

Cell lengths 6.892, 6.892, 6.892 Å; angles 102.91, 102.91, 123.59 degrees
Fractional positions:
Sn1 0.000 0.000 0.000
Sn2 0.014 0.514 0.500
Sn3 0.392 0.392 0.570
Sn4 0.392 0.821 0.000
Sn5 0.514 0.014 0.500
Sn6 0.821 0.392 0.000
Sn7 0.821 0.821 0.430
Ir1 0.030 0.275 0.755
Ir2 0.275 0.030 0.755
Ir3 0.275 0.520 0.245
Ir4 0.520 0.275 0.245
Ir5 0.600 0.600 0.000

## Properties
E_tot (eV/atom): -36.542
Total magnetic moment (Bohr magnetons per cell): 0.00
Symmetry: I4mm

=====

(5)
DFT (r²SCAN) results for crystalline Sn7Ir3 at its relaxed geometry.

Cell lengths 8.173, 8.173, 8.173 Å; angles 109.47, 109.47, 109.47 degrees
Fractional positions:
Sn1 0.000 0.000 0.330
Sn2 0.000 0.000 0.670
Sn3 0.000 0.330 0.000
Sn4 0.000 0.670 0.000
Sn5 0.250 0.500 0.750
Sn6 0.250 0.750 0.500
Sn7 0.330 0.000 0.000
Sn8 0.330 0.330 0.330
Sn9 0.500 0.250 0.750
Sn10 0.500 0.750 0.250
Sn11 0.670 0.000 0.000
Sn12 0.670 0.670 0.670
Sn13 0.750 0.250 0.500
Sn14 0.750 0.500 0.250
Ir1 0.000 0.342 0.342
Ir2 0.000 0.658 0.658
Ir3 0.342 0.000 0.342
Ir4 0.342 0.342 0.000
Ir5 0.658 0.000 0.658
Ir6 0.658 0.658 0.000

## Properties
E_tot (eV/atom): -33.291
Total magnetic moment (Bohr magnetons per cell): 0.00
Symmetry: Im-3m

=====

(6)
DFT (r²SCAN) results for crystalline TiSnIr at its relaxed geometry.

Cell lengths 6.177, 6.177, 6.177 Å; angles 90.00, 90.00, 90.00 degrees
Fractional positions:
Ti1 0.000 0.000 0.000
Ti2 0.000 0.500 0.500
Ti3 0.500 0.000 0.500
Ti4 0.500 0.500 0.000
Sn1 0.000 0.000 0.500
Sn2 0.000 0.500 0.000
Sn3 0.500 0.000 0.000
Sn4 0.500 0.500 0.500
Ir1 0.250 0.250 0.250
Ir2 0.250 0.750 0.750
Ir3 0.750 0.250 0.750
Ir4 0.750 0.750 0.250

## Properties
E_tot (eV/atom): -30.697
Total magnetic moment (Bohr magnetons per cell): 4.00
Symmetry: F-43m

=====

(7)
DFT (r²SCAN) results for crystalline USnIr at its relaxed geometry.

Cell lengths 7.390, 7.390, 4.072 Å; angles 90.00, 90.00, 120.00 degrees
Fractional positions:
U1 0.000 0.577 0.000
U2 0.423 0.423 0.000
U3 0.577 0.000 0.000
Sn1 0.000 0.250 0.500
Sn2 0.250 0.000 0.500
Sn3 0.750 0.750 0.500
Ir1 0.000 0.000 0.000
Ir2 0.333 0.667 0.500
Ir3 0.667 0.333 0.500

## Properties
E_tot (eV/atom): -53.036
Total magnetic moment (Bohr magnetons per cell): 6.82
Symmetry: P-62m

=====

(8)
DFT (r²SCAN) results for crystalline YSnIr at its relaxed geometry.

Cell lengths 6.996, 4.554, 7.993 Å; angles 90.00, 90.00, 90.00 degrees
Fractional positions:
Y1 0.019 0.250 0.189
Y2 0.481 0.750 0.689
Y3 0.519 0.250 0.311
Y4 0.981 0.750 0.811
Sn1 0.166 0.250 0.574
Sn2 0.334 0.750 0.074
Sn3 0.666 0.250 0.926
Sn4 0.834 0.750 0.426
Ir1 0.230 0.750 0.398
Ir2 0.270 0.250 0.898
Ir3 0.730 0.750 0.102
Ir4 0.770 0.250 0.602

## Properties
E_tot (eV/atom): -33.401
Total magnetic moment (Bohr magnetons per cell): 0.00
Symmetry: Pnma

=====

(9)
DFT (r²SCAN) results for crystalline TaIr3 at its relaxed geometry.

Cell lengths 3.905, 3.905, 3.905 Å; angles 90.00, 90.00, 90.00 degrees
Fractional positions:
Ta1 0.000 0.000 0.000
Ir1 0.000 0.500 0.500
Ir2 0.500 0.000 0.500
Ir3 0.500 0.500 0.000

## Properties
E_tot (eV/atom): -52.175
Total magnetic moment (Bohr magnetons per cell): 0.00
Symmetry: Pm-3m

=====

(10)
DFT (r²SCAN) results for crystalline TaIr at its relaxed geometry.

Cell lengths 13.806, 2.862, 4.832 Å; angles 90.00, 90.00, 90.00 degrees
Fractional positions:
Ta1 0.086 0.000 0.175
Ta2 0.250 0.000 0.553
Ta3 0.414 0.000 0.175
Ta4 0.586 0.000 0.825
Ta5 0.750 0.000 0.447
Ta6 0.914 0.000 0.825
Ir1 0.082 0.500 0.676
Ir2 0.250 0.500 0.042
Ir3 0.418 0.500 0.676
Ir4 0.582 0.500 0.324
Ir5 0.750 0.500 0.958
Ir6 0.918 0.500 0.324

## Properties
E_tot (eV/atom): -51.123
Total magnetic moment (Bohr magnetons per cell): 0.00
Symmetry: Pmma

=====

(11)
DFT (r²SCAN) results for crystalline TaIr3 at its relaxed geometry.

Cell lengths 5.552, 5.552, 4.460 Å; angles 90.00, 90.00, 120.00 degrees
Fractional positions:
Ta1 0.333 0.667 0.250
Ta2 0.667 0.333 0.750
Ir1 0.164 0.328 0.750
Ir2 0.164 0.836 0.750
Ir3 0.328 0.164 0.250
Ir4 0.672 0.836 0.750
Ir5 0.836 0.164 0.250
Ir6 0.836 0.672 0.250

## Properties
E_tot (eV/atom): -52.159
Total magnetic moment (Bohr magnetons per cell): 0.00
Symmetry: P6_3/mmc

=====

(12)
DFT (r²SCAN) results for crystalline TaTe4Ir at its relaxed geometry.

Cell lengths 3.808, 12.605, 14.100 Å; angles 90.00, 90.00, 90.00 degrees
Fractional positions:
Ta1 0.000 0.052 0.000
Ta2 0.000 0.269 0.486
Ta3 0.500 0.731 0.986
Ta4 0.500 0.948 0.500
Te1 0.000 0.066 0.390
Te2 0.000 0.192 0.860
Te3 0.000 0.347 0.085
Te4 0.000 0.412 0.623
Te5 0.000 0.565 0.397
Te6 0.000 0.677 0.851
Te7 0.000 0.848 0.097
Te8 0.000 0.893 0.634
Te9 0.500 0.107 0.134
Te10 0.500 0.152 0.597
Te11 0.500 0.323 0.351
Te12 0.500 0.435 0.897
Te13 0.500 0.588 0.123
Te14 0.500 0.653 0.585
Te15 0.500 0.808 0.360
Te16 0.500 0.934 0.890
Ir1 0.000 0.535 0.994
Ir2 0.000 0.753 0.489
Ir3 0.500 0.247 0.989
Ir4 0.500 0.465 0.494

## Properties
E_tot (eV/atom): -34.208
Total magnetic moment (Bohr magnetons per cell): 0.00
Symmetry: Pmn2_1

=====

no.,calculated formation energy (eV/atom)
1,-0.91
2,-0.16
3,-0.16
4,-0.29
5,-0.26
6,-0.68
7,-0.69
8,-0.93
9,-0.76
10,-0.65
11,-0.74
12,-0.44